[1]
MgNb3SiO10: relaxed, PBE.

Cell lengths 5.0023, 5.5573, 6.7178 Å; angles 102.49, 110.95, 88.36 degrees
Positions (direct):
O1 0.6481 0.4808 0.2269
O2 0.6967 0.3562 0.5674
O3 0.5530 0.9986 0.2336
O4 0.4371 0.0139 0.7728
O5 0.8905 0.7391 0.9947
O6 0.8988 0.8722 0.6148
O7 0.1614 0.1552 0.4083
O8 0.2691 0.5963 0.3870
O9 0.1572 0.2373 0.0203
O10 0.3267 0.5489 0.7980
Nb1 0.8728 0.7594 0.2846
Nb2 0.5979 0.7119 0.6894
Nb3 0.1097 0.2409 0.7023
Mg1 0.2314 0.8661 0.9576
Si1 0.3997 0.2857 0.2958

Summary:
Space-group type: No. 1
Total magnetization in μB/f.u.: 1.0
E (MP2020) in Ry/atom: -0.6380
Energy relative to the lowest polymorph listed for this composition in meV per atom: 83


[2]
Ba2PdO3: relaxed, PBE.

Cell lengths 7.3159, 7.3159, 7.3159 Å; angles 149.05, 146.99, 45.88 degrees
Positions (direct):
Ba1 0.3548 0.3548 0.0000
Ba2 0.6452 0.6452 0.0000
O1 0.8450 0.8450 0.0000
O2 0.5000 0.0000 0.5000
O3 0.1550 0.1550 0.0000
Pd1 0.0000 0.0000 0.0000

Summary:
Space-group type: No. 71
E (MP2020) in Ry/atom: -0.4600


[3]
MgTi3: relaxed, PBE.

Cell lengths 5.9120, 5.9120, 4.7648 Å; angles 90.00, 90.00, 120.00 degrees
Positions (direct):
Ti1 0.1652 0.3305 0.2500
Ti2 0.3305 0.1652 0.7500
Ti3 0.8348 0.1652 0.7500
Ti4 0.8348 0.6695 0.7500
Ti5 0.1652 0.8348 0.2500
Ti6 0.6695 0.8348 0.2500
Mg1 0.6667 0.3333 0.2500
Mg2 0.3333 0.6667 0.7500

Summary:
Space-group type: No. 194
Total energy in eV per cell: -49.373
Total magnetization in μB/f.u.: 0.8


[4]
NdEu3: relaxed, PBE.

Cell lengths 7.6656, 7.6656, 6.1831 Å; angles 90.00, 90.00, 120.00 degrees
Positions (direct):
Eu1 0.8306 0.1694 0.7500
Eu2 0.3387 0.1694 0.7500
Eu3 0.1694 0.3387 0.2500
Eu4 0.6613 0.8306 0.2500
Eu5 0.8306 0.6613 0.7500
Eu6 0.1694 0.8306 0.2500
Nd1 0.3333 0.6667 0.7500
Nd2 0.6667 0.3333 0.2500

Summary:
Space-group type: No. 194
Total energy in eV per cell: -70.618
Total magnetization in μB/f.u.: 22.6


What did the third record say?
MgTi3: relaxed, PBE.

Cell lengths 5.9120, 5.9120, 4.7648 Å; angles 90.00, 90.00, 120.00 degrees
Positions (direct):
Ti1 0.1652 0.3305 0.2500
Ti2 0.3305 0.1652 0.7500
Ti3 0.8348 0.1652 0.7500
Ti4 0.8348 0.6695 0.7500
Ti5 0.1652 0.8348 0.2500
Ti6 0.6695 0.8348 0.2500
Mg1 0.6667 0.3333 0.2500
Mg2 0.3333 0.6667 0.7500

Summary:
Space-group type: No. 194
Total energy in eV per cell: -49.373
Total magnetization in μB/f.u.: 0.8